The following is a DFT calculation (PBE) of an optimized crystal structure of CaYPt2.

Formation energy ... -4.20 eV/f.u.

Unit cell a=4.938 b=4.938 c=4.938 alpha=60.00 beta=60.00 gamma=60.00
Atoms (fractional coordinates):
Y 0.000 0.000 0.000
Pt 0.750 0.750 0.750
Pt 0.250 0.250 0.250
Ca 0.500 0.500 0.500

=====

The following is a DFT calculation (PBE) of an optimized crystal structure of RbCa3.

Formation energy ... 0.90 eV/f.u.

Unit cell a=5.832 b=5.832 c=5.832 alpha=90.00 beta=90.00 gamma=90.00
Atoms (fractional coordinates):
Rb 0.000 0.000 0.000
Ca 0.000 0.500 0.500
Ca 0.500 0.500 0.000
Ca 0.500 0.000 0.500

=====

The following is a DFT calculation (PBE) of an optimized crystal structure of RbCa3.

Formation energy ... 0.87 eV/f.u.

Unit cell a=6.550 b=6.550 c=6.550 alpha=60.00 beta=60.00 gamma=60.00
Atoms (fractional coordinates):
Rb 0.000 0.000 0.000
Ca 0.250 0.250 0.250
Ca 0.500 0.500 0.500
Ca 0.750 0.750 0.750

=====

The following is a DFT calculation (PBE) of an optimized crystal structure of RbCa3.

Formation energy ... 0.85 eV/f.u.

Unit cell a=7.150 b=7.150 c=7.150 alpha=131.89 beta=131.89 gamma=70.40
Atoms (fractional coordinates):
Rb 0.000 0.000 0.000
Ca 0.250 0.750 0.500
Ca 0.500 0.500 0.000
Ca 0.750 0.250 0.500